No. 1
Material: Mg30CdBiO32
Method: DFT, GGA-PBE
State: relaxed

abc: 8.6763 8.6763 8.6721
angles: 90.00 90.00 90.00
Closest atoms and distances in Å follow each position.
Sites, in units of the cell vectors:
Mg  0.0000  0.0000  0.0000  6 O 2.03-2.19
Mg  0.0000  0.2511  0.2478  6 O 2.15-2.19
Mg  0.0000  0.2511  0.7522  6 O 2.15-2.19
Mg  0.0000  0.5000  0.0000  6 O 2.13-2.16
Mg  0.0000  0.5000  0.5000  6 O 2.03-2.20
Mg  0.0000  0.7489  0.2478  6 O 2.15-2.19
Mg  0.0000  0.7489  0.7522  6 O 2.15-2.19
Mg  0.2430  0.5000  0.2434  6 O 2.11-2.23
Mg  0.2430  0.5000  0.7566  6 O 2.11-2.23
Mg  0.2446  0.2446  0.5000  6 O 2.13-2.22
Mg  0.2446  0.7554  0.5000  6 O 2.13-2.22
Mg  0.2492  0.2492  0.0000  6 O 2.16-2.18
Mg  0.2492  0.7508  0.0000  6 O 2.16-2.18
Mg  0.2511  0.0000  0.2478  6 O 2.15-2.19
Mg  0.2511  0.0000  0.7522  6 O 2.15-2.19
Mg  0.5000  0.0000  0.0000  6 O 2.13-2.16
Mg  0.5000  0.0000  0.5000  6 O 2.03-2.20
Mg  0.5000  0.2430  0.2434  6 O 2.11-2.23
Mg  0.5000  0.2430  0.7566  6 O 2.11-2.23
Mg  0.5000  0.5000  0.0000  6 O 2.01-2.18
Mg  0.5000  0.7570  0.2434  6 O 2.11-2.23
Mg  0.5000  0.7570  0.7566  6 O 2.11-2.23
Mg  0.7489  0.0000  0.2478  6 O 2.15-2.19
Mg  0.7489  0.0000  0.7522  6 O 2.15-2.19
Mg  0.7508  0.2492  0.0000  6 O 2.16-2.18
Mg  0.7508  0.7508  0.0000  6 O 2.16-2.18
Mg  0.7554  0.2446  0.5000  6 O 2.13-2.22
Mg  0.7554  0.7554  0.5000  6 O 2.13-2.22
Mg  0.7570  0.5000  0.2434  6 O 2.11-2.23
Mg  0.7570  0.5000  0.7566  6 O 2.11-2.23
Cd  0.0000  0.0000  0.5000  6 O 2.29-2.30
Bi  0.5000  0.5000  0.5000  6 O 2.31-2.32
O  0.0000  0.0000  0.2343  5 Mg 2.03-2.18
O  0.0000  0.0000  0.7657  5 Mg 2.03-2.18
O  0.0000  0.2522  0.0000  6 Mg 2.15-2.19
O  0.0000  0.2643  0.5000  5 Mg 2.05-2.19
O  0.0000  0.5000  0.2462  6 Mg 2.11-2.20
O  0.0000  0.5000  0.7538  6 Mg 2.11-2.20
O  0.0000  0.7357  0.5000  5 Mg 2.05-2.19
O  0.0000  0.7478  0.0000  6 Mg 2.15-2.19
O  0.2341  0.5000  0.5000  5 Mg 2.03-2.23
O  0.2486  0.5000  0.0000  6 Mg 2.11-2.18
O  0.2512  0.2512  0.2514  6 Mg 2.16-2.18
O  0.2512  0.2512  0.7486  6 Mg 2.16-2.18
O  0.2512  0.7488  0.2514  6 Mg 2.16-2.18
O  0.2512  0.7488  0.7486  6 Mg 2.16-2.18
O  0.2522  0.0000  0.0000  6 Mg 2.15-2.19
O  0.2643  0.0000  0.5000  5 Mg 2.05-2.19
O  0.5000  0.0000  0.2462  6 Mg 2.11-2.20
O  0.5000  0.0000  0.7538  6 Mg 2.11-2.20
O  0.5000  0.2341  0.5000  5 Mg 2.03-2.23
O  0.5000  0.2486  0.0000  6 Mg 2.11-2.18
O  0.5000  0.5000  0.2321  5 Mg 2.01-2.23
O  0.5000  0.5000  0.7679  5 Mg 2.01-2.23
O  0.5000  0.7514  0.0000  6 Mg 2.11-2.18
O  0.5000  0.7659  0.5000  5 Mg 2.03-2.23
O  0.7357  0.0000  0.5000  5 Mg 2.05-2.19
O  0.7478  0.0000  0.0000  6 Mg 2.15-2.19
O  0.7488  0.2512  0.2514  6 Mg 2.16-2.18
O  0.7488  0.2512  0.7486  6 Mg 2.16-2.18
O  0.7488  0.7488  0.2514  6 Mg 2.16-2.18
O  0.7488  0.7488  0.7486  6 Mg 2.16-2.18
O  0.7514  0.5000  0.0000  6 Mg 2.11-2.18
O  0.7659  0.5000  0.5000  5 Mg 2.03-2.23

Values from the calculation:
energy with MP2020 corrections	-6.1565	eV/atom
magnetic moment	0.004	μB per formula unit
uncorrected energy	-5.81	eV per atom
SG	P4/mmm, No. 123
energy of formation	-2.857	eV per atom


No. 2
Material: NiS2
Method: DFT, GGA-PBE
State: relaxed

abc: 9.1062 3.5686 5.7665
angles: 90.00 90.00 90.00
Closest atoms and distances in Å follow each position.
Sites, in units of the cell vectors:
Ni  0.1337  0.2500  0.1674  6 S 2.35-2.37
Ni  0.3663  0.7500  0.6674  6 S 2.35-2.37
Ni  0.6337  0.2500  0.3326  6 S 2.35-2.37
Ni  0.8663  0.7500  0.8326  6 S 2.35-2.37
S  0.0334  0.2500  0.7923  1 S 2.10
S  0.2103  0.2500  0.5597  1 S 2.10
S  0.2897  0.7500  0.0597  1 S 2.10
S  0.4666  0.7500  0.2923  1 S 2.10
S  0.5334  0.2500  0.7077  1 S 2.10
S  0.7103  0.2500  0.9403  1 S 2.10
S  0.7897  0.7500  0.4403  1 S 2.10
S  0.9666  0.7500  0.2077  1 S 2.10

Values from the calculation:
energy with MP2020 corrections	-5.2163	eV/atom
magnetic moment	0.031	μB per formula unit
uncorrected energy	-4.88	eV per atom
SG	Pnma, No. 62
energy of formation	-0.532	eV per atom


No. 3
Material: Sr2SmTaCu2O8
Method: DFT, GGA-PBE
State: relaxed

abc: 5.5210 5.5210 12.5089
angles: 102.65 102.65 89.96
Closest atoms and distances in Å follow each position.
Sites, in units of the cell vectors:
Sr  0.0978  0.0978  0.2010  10 O 2.76-2.85
Sr  0.4020  0.4020  0.7982  10 O 2.76-2.88
Sr  0.5980  0.5980  0.2018  10 O 2.76-2.88
Sr  0.9022  0.9022  0.7990  10 O 2.76-2.85
Sm  0.2495  0.2495  0.4999  8 O 2.43-2.54
Sm  0.7505  0.7505  0.5001  8 O 2.43-2.54
Ta  0.0000  0.5000  0.0000  6 O 1.97-2.01
Ta  0.5000  0.0000  0.0000  6 O 1.97-2.01
Cu  0.1749  0.6745  0.3557  4 O 1.96-1.97
Cu  0.3255  0.8251  0.6443  4 O 1.96-1.97
Cu  0.6745  0.1749  0.3557  4 O 1.96-1.97
Cu  0.8251  0.3255  0.6443  4 O 1.96-1.97
O  0.0584  0.0584  0.6254  2 Cu 1.97
O  0.0727  0.5604  0.6280  2 Cu 1.96-1.97
O  0.0746  0.5855  0.1658  1 Ta 1.97
O  0.1887  0.8113  0.0000  2 Ta 2.01
O  0.3133  0.3133  0.0046  2 Ta 2.01
O  0.4145  0.9254  0.8342  1 Ta 1.97
O  0.4276  0.4276  0.3716  2 Cu 1.96
O  0.4396  0.9273  0.3720  2 Cu 1.96-1.97
O  0.5604  0.0727  0.6280  2 Cu 1.96-1.97
O  0.5724  0.5724  0.6284  2 Cu 1.96
O  0.5855  0.0746  0.1658  1 Ta 1.97
O  0.6867  0.6867  0.9954  2 Ta 2.01
O  0.8113  0.1887  0.0000  2 Ta 2.01
O  0.9254  0.4145  0.8342  1 Ta 1.97
O  0.9273  0.4396  0.3720  2 Cu 1.96-1.97
O  0.9416  0.9416  0.3746  2 Cu 1.97

Values from the calculation:
energy with MP2020 corrections	-7.6267	eV/atom
magnetic moment	0.002	μB per formula unit
uncorrected energy	-7.23	eV per atom
SG	C2/m, No. 12
energy of formation	-2.788	eV per atom
energy relative to the lowest polymorph listed for this composition	0	meV per atom


No. 4
Material: La6Mg23Si
Method: DFT, GGA-PBE
State: relaxed

abc: 10.3584 10.3584 10.3584
angles: 60.00 60.00 60.00
Closest atoms and distances in Å follow each position.
Sites, in units of the cell vectors:
La  0.2074  0.2074  0.7926  1 Si 3.04
La  0.2074  0.7926  0.2074  1 Si 3.04
La  0.2074  0.7926  0.7926  1 Si 3.04
La  0.7926  0.2074  0.2074  1 Si 3.04
La  0.7926  0.2074  0.7926  1 Si 3.04
La  0.7926  0.7926  0.2074  1 Si 3.04
Mg  0.0000  0.0000  0.5000  8 Mg 2.99-3.19
Mg  0.0000  0.5000  0.0000  8 Mg 2.99-3.19
Mg  0.0000  0.5000  0.5000  8 Mg 2.99-3.19
Mg  0.1317  0.6228  0.6228  7 Mg 3.11-3.21
Mg  0.1671  0.1671  0.1671  6 Mg 2.99-3.21
Mg  0.1671  0.1671  0.4986  6 Mg 2.99-3.21
Mg  0.1671  0.4986  0.1671  6 Mg 2.99-3.21
Mg  0.3772  0.3772  0.3772  7 Mg 3.11-3.21
Mg  0.3772  0.3772  0.8683  7 Mg 3.11-3.21
Mg  0.3772  0.8683  0.3772  7 Mg 3.11-3.21
Mg  0.4986  0.1671  0.1671  6 Mg 2.99-3.21
Mg  0.5000  0.0000  0.0000  8 Mg 2.99-3.19
Mg  0.5000  0.0000  0.5000  8 Mg 2.99-3.19
Mg  0.5000  0.5000  0.0000  8 Mg 2.99-3.19
Mg  0.5000  0.5000  0.5000  8 Mg 3.11
Mg  0.5014  0.8329  0.8329  6 Mg 2.99-3.21
Mg  0.6228  0.1317  0.6228  7 Mg 3.11-3.21
Mg  0.6228  0.6228  0.1317  7 Mg 3.11-3.21
Mg  0.6228  0.6228  0.6228  7 Mg 3.11-3.21
Mg  0.8329  0.5014  0.8329  6 Mg 2.99-3.21
Mg  0.8329  0.8329  0.5014  6 Mg 2.99-3.21
Mg  0.8329  0.8329  0.8329  6 Mg 2.99-3.21
Mg  0.8683  0.3772  0.3772  7 Mg 3.11-3.21
Si  0.0000  0.0000  0.0000  6 La 3.04

Values from the calculation:
energy with MP2020 corrections	-2.5446	eV/atom
uncorrected energy	-2.55	eV per atom
SG	Fm-3m, No. 225
energy of formation	-0.150	eV per atom


No. 5
Material: YReN3
Method: DFT, GGA-PBE
State: relaxed

abc: 7.4363 7.4363 6.3348
angles: 107.46 107.46 81.91
Closest atoms and distances in Å follow each position.
Sites, in units of the cell vectors:
Y  0.0944  0.9056  0.7500  6 N 2.28-2.51
Y  0.2887  0.7113  0.2500  6 N 2.38-2.49
Y  0.7113  0.2887  0.7500  6 N 2.38-2.49
Y  0.9056  0.0944  0.2500  6 N 2.28-2.51
Re  0.2056  0.3767  0.7846  4 N 1.81-1.89
Re  0.3767  0.2056  0.2846  4 N 1.81-1.89
Re  0.6233  0.7944  0.7154  4 N 1.81-1.89
Re  0.7944  0.6233  0.2154  4 N 1.81-1.89
N  0.0071  0.2194  0.6634  1 Re 1.84
N  0.1325  0.6257  0.8410  1 Re 1.81
N  0.2194  0.0071  0.1634  1 Re 1.84
N  0.3307  0.3635  0.0873  2 Re 1.89
N  0.3635  0.3307  0.5873  2 Re 1.89
N  0.3743  0.8675  0.6590  1 Re 1.81
N  0.6257  0.1325  0.3410  1 Re 1.81
N  0.6365  0.6693  0.4127  2 Re 1.89
N  0.6693  0.6365  0.9127  2 Re 1.89
N  0.7806  0.9929  0.8366  1 Re 1.84
N  0.8675  0.3743  0.1590  1 Re 1.81
N  0.9929  0.7806  0.3366  1 Re 1.84

Values from the calculation:
energy with MP2020 corrections	-9.6633	eV/atom
magnetic moment	0.006	μB per formula unit
uncorrected energy	-9.45	eV per atom
SG	C2/c, No. 15
energy of formation	-0.879	eV per atom